Ce5AgSn3: optimized geometry, PBE.

abc: 6.563 9.543 9.543
angles: 120.00 90.00 90.00
Fractional coordinates of all 18 atoms:
Ce1 0.250 0.714 0.000
Ce2 0.000 0.333 0.667
Ce3 0.750 0.000 0.286
Ce4 0.750 0.714 0.714
Ce5 0.500 0.333 0.667
Ce6 0.250 0.000 0.714
Ce7 0.500 0.667 0.333
Ce8 0.750 0.286 0.000
Ce9 0.250 0.286 0.286
Ce10 0.000 0.667 0.333
Ag1 0.500 0.000 0.000
Ag2 0.000 0.000 0.000
Sn1 0.250 0.000 0.371
Sn2 0.750 0.371 0.371
Sn3 0.250 0.371 0.000
Sn4 0.750 0.629 0.000
Sn5 0.250 0.629 0.629
Sn6 0.750 0.000 0.629

Properties
The calculation puts the formation energy at -0.508 eV per atom. Its space group is P6_3/mcm (193). The energy comes out at -5.46 eV/atom.